(P)
Here is Li2Co4OF8 after structural relaxation from the Materials Project database. Energies are from PBE with a Hubbard U.

Lattice parameters (Å, degrees): 6.856 7.815 8.393 69.43 66.96 80.04
Fractional positions:
F  0.172  0.052  0.858
F  0.141  0.449  0.694
Co  0.323  0.593  0.750
F  0.218  0.644  0.998
F  0.234  0.906  0.216
Li  0.613  0.263  0.912
Li  0.237  0.236  0.629
F  0.694  0.712  0.987
F  0.378  0.495  0.258
F  0.528  0.245  0.520
Co  0.139  0.395  0.233
O  0.084  0.775  0.717
F  0.828  0.948  0.142
F  0.306  0.288  0.013
Co  0.054  0.126  0.085
Li  0.763  0.764  0.371
Co  0.787  0.100  0.542
F  0.859  0.551  0.306
F  0.782  0.356  0.002
Co  0.213  0.900  0.458
Co  0.861  0.605  0.767
F  0.472  0.755  0.480
Li  0.387  0.737  0.088
F  0.766  0.094  0.784
F  0.622  0.505  0.742
O  0.916  0.225  0.283
F  0.819  0.839  0.543
Co  0.677  0.407  0.250
Co  0.946  0.874  0.915
F  0.181  0.161  0.457

ρ ... 3.58 g/cm³


(Q)
Here is Li2Co4OF8 after structural relaxation from the Materials Project database. Energies are from PBE with a Hubbard U.

Lattice parameters (Å, degrees): 5.266 5.266 14.153 89.25 89.25 58.77
Fractional positions:
Co  0.673  0.651  0.485
F  0.021  0.338  0.916
Li  0.991  0.022  0.643
O  0.951  0.381  0.582
Co  0.347  0.303  0.027
Li  0.022  0.991  0.143
F  0.022  0.648  0.412
F  0.661  0.990  0.586
F  0.005  0.693  0.753
F  0.308  0.694  0.253
Co  0.687  0.654  0.681
F  0.990  0.661  0.086
F  0.990  0.326  0.252
F  0.693  0.005  0.253
Co  0.329  0.336  0.314
O  0.381  0.951  0.082
Co  0.654  0.687  0.181
F  0.340  0.681  0.582
Li  0.997  0.005  0.348
F  0.326  0.990  0.752
F  0.694  0.308  0.753
Li  0.005  0.997  0.848
F  0.681  0.340  0.082
F  0.648  0.022  0.912
F  0.624  0.332  0.417
Co  0.303  0.347  0.527
Co  0.651  0.673  0.985
F  0.332  0.624  0.917
Co  0.336  0.329  0.814
F  0.338  0.021  0.416

ρ ... 4.13 g/cm³


(Q) has the most favorable energy; the next structure is 16 meV/atom above.


(P)
Here is Li4Co7O2F14 after structural relaxation from the Materials Project database. Energies are from PBE with a Hubbard U.

Lattice parameters (Å, degrees): 6.202 6.192 10.589 91.01 71.79 121.49
Fractional positions:
F  0.411  0.452  0.685
Co  0.125  0.062  0.312
F  0.383  0.193  0.936
Co  0.620  0.796  0.558
F  0.393  0.945  0.191
Li  0.984  0.007  0.991
F  0.875  0.421  0.191
O  0.397  0.408  0.203
O  0.853  0.717  0.422
F  0.375  0.704  0.434
Co  0.630  0.329  0.067
F  0.386  0.177  0.435
F  0.867  0.932  0.689
Co  0.625  0.562  0.312
F  0.857  0.180  0.434
F  0.829  0.184  0.944
F  0.421  0.941  0.681
F  0.864  0.948  0.190
Li  0.283  0.608  0.124
Co  0.625  0.062  0.812
Co  0.625  0.062  0.312
Co  0.625  0.562  0.812
F  0.839  0.673  0.940
F  0.833  0.420  0.698
F  0.417  0.705  0.927
Li  0.967  0.517  0.501
Li  0.266  0.118  0.634

ρ ... 3.78 g/cm³


(Q)
Here is Li4Co7O2F14 after structural relaxation from the Materials Project database. Energies are from PBE with a Hubbard U.

Lattice parameters (Å, degrees): 6.056 6.192 10.466 106.96 89.13 119.17
Fractional positions:
F  0.853  0.115  0.121
F  0.119  0.372  0.377
Co  0.741  0.262  0.246
F  0.342  0.603  0.628
F  0.881  0.628  0.623
F  0.372  0.109  0.122
Li  0.538  0.415  0.679
F  0.665  0.917  0.369
O  0.162  0.427  0.890
Co  0.000  0.500  0.000
Co  0.500  0.500  0.000
F  0.383  0.646  0.122
F  0.335  0.083  0.631
F  0.658  0.397  0.372
F  0.617  0.354  0.878
Li  0.030  0.888  0.188
F  0.147  0.885  0.879
Co  0.000  0.000  0.500
Co  0.000  0.500  0.500
Li  0.462  0.585  0.321
Co  0.259  0.738  0.754
F  0.906  0.149  0.615
Li  0.970  0.112  0.812
F  0.628  0.891  0.878
Co  0.500  0.000  0.000
O  0.838  0.573  0.110
F  0.094  0.851  0.385

ρ ... 3.78 g/cm³


(P) has the most favorable energy; the next structure is 703 meV/atom above.